1.
Gd2Cr2C3 | PBE | optimized geometry

Cell and atoms, written as POSCAR:
```
Gd2Cr2C3
1.0
5.2336 -1.7015 0.0000
5.2336 1.7015 0.0000
-1.4875 0.0000 5.4467
Gd Cr C
2 2 3
Direct
0.1046 0.1046 0.3195 Gd
0.8954 0.8954 0.6805 Gd
0.3423 0.3423 0.1050 Cr
0.6577 0.6577 0.8950 Cr
0.2129 0.2129 0.7751 C
0.5000 0.5000 0.0000 C
0.7871 0.7871 0.2249 C
```

Its space group is No. 12. The value obtained for the energy of formation is -0.266 eV per atom.

=====

2.
CrH9C3N6 | PBE | optimized geometry

Cell and atoms, written as POSCAR:
```
CrH9C3N6
1.0
5.8857 0.0000 0.0000
2.6639 7.8290 0.0000
1.1344 -0.3547 11.7047
Cr H C N
2 18 6 12
Direct
0.0000 0.0000 0.0000 Cr
0.5000 0.0000 0.0000 Cr
0.0524 0.3790 0.4194 H
0.1010 0.3356 0.3619 H
0.1451 0.1031 0.5392 H
0.1543 0.6601 0.3954 H
0.1587 0.0150 0.6725 H
0.2678 0.6059 0.8573 H
0.2712 0.9991 0.9081 H
0.3616 0.4730 0.7307 H
0.4220 0.4628 0.1994 H
0.5780 0.5372 0.8006 H
0.6384 0.5270 0.2693 H
0.7288 0.0009 0.0919 H
0.7322 0.3941 0.1427 H
0.8413 0.9850 0.3275 H
0.8457 0.3399 0.6046 H
0.8549 0.8969 0.4608 H
0.8990 0.6644 0.6381 H
0.9476 0.6210 0.5806 H
0.0942 0.7533 0.3269 C
0.4147 0.5001 0.8137 C
0.4826 0.2229 0.9264 C
0.5174 0.7771 0.0736 C
0.5853 0.4999 0.1863 C
0.9058 0.2467 0.6731 C
0.0772 0.1160 0.6241 N
0.1498 0.1045 0.0961 N
0.2839 0.1506 0.1474 N
0.3973 0.0043 0.3800 N
0.4561 0.8670 0.3523 N
0.4568 0.3526 0.8798 N
0.5432 0.6474 0.1202 N
0.5439 0.1330 0.6477 N
0.6027 0.9957 0.6200 N
0.7161 0.8494 0.8526 N
0.8502 0.8955 0.9039 N
0.9228 0.8840 0.3759 N
```

Its space group is No. 2. The calculation puts the distance to the lowest polymorph of the same formula at 0.367 eV/atom. The value obtained for the energy of formation is 0.090 eV per atom.

=====

3.
CrH9C3N6 | PBE | optimized geometry

Cell and atoms, written as POSCAR:
```
CrH9C3N6
1.0
5.6599 3.2677 3.7282
-5.6599 3.2677 3.7282
0.0000 -6.5354 3.7282
Cr H C N
2 18 6 12
Direct
0.0000 0.0000 0.0000 Cr
0.5000 0.5000 0.5000 Cr
0.1570 0.3325 0.4404 H
0.1963 0.4426 0.6487 H
0.2457 0.6025 0.2682 H
0.2682 0.2457 0.6025 H
0.3325 0.4404 0.1570 H
0.3513 0.8037 0.5574 H
0.3975 0.7318 0.7543 H
0.4404 0.1570 0.3325 H
0.4426 0.6487 0.1963 H
0.5574 0.3513 0.8037 H
0.5596 0.8430 0.6675 H
0.6025 0.2682 0.2457 H
0.6487 0.1963 0.4426 H
0.6675 0.5596 0.8430 H
0.7318 0.7543 0.3975 H
0.7543 0.3975 0.7318 H
0.8037 0.5574 0.3513 H
0.8430 0.6675 0.5596 H
0.0506 0.7603 0.8695 C
0.1305 0.9494 0.2397 C
0.2397 0.1305 0.9494 C
0.7603 0.8695 0.0506 C
0.8695 0.0506 0.7603 C
0.9494 0.2397 0.1305 C
0.0762 0.6235 0.7886 N
0.2114 0.9238 0.3765 N
0.2540 0.3650 0.5540 N
0.3650 0.5540 0.2540 N
0.3765 0.2114 0.9238 N
0.4460 0.7460 0.6350 N
0.5540 0.2540 0.3650 N
0.6235 0.7886 0.0762 N
0.6350 0.4460 0.7460 N
0.7460 0.6350 0.4460 N
0.7886 0.0762 0.6235 N
0.9238 0.3765 0.2114 N
```

Its space group is No. 148. The calculation puts the distance to the lowest polymorph of the same formula at 0.000 eV/atom. The value obtained for the energy of formation is -0.277 eV per atom.

=====

> Which of these has the highest energy of formation?

number 2